The following is a PBE-GGA calculation of AcInAu2 after structural relaxation, from the Materials Project database.

```
AcInAu2
1.0
0.000 3.727 3.727
3.727 0.000 3.727
3.727 3.727 0.000
Ac In Au
1 1 2
direct
0.000 0.000 0.000
0.500 0.500 0.500
0.250 0.250 0.250
0.750 0.750 0.750
```

ρ ... 11800 kg/m³
Energy of formation from the pure elements ... -0.654 eV/atom